1.
Below is crystalline SiP2H18C6Cl4 at its relaxed geometry, with properties calculated at the GGA-PBE level. Values from VASP.

Energy with MP2020 corrections, eV per atom: -4.96
Size of the total moment, Bohr magnetons per cell: 0.00
Energy relative to the elements, eV/atom: -0.445

Geometry as Quantum ESPRESSO input:
```
&SYSTEM
  ibrav = 0, nat = 62, ntyp = 5
/
ATOMIC_SPECIES
Si 28.09 Si.upf
P 30.97 P.upf
H 1.01 H.upf
C 12.01 C.upf
Cl 35.45 Cl.upf
ATOMIC_POSITIONS crystal
Si 0.0000 0.0000 0.0000
Si 0.0000 0.5000 0.5000
P 0.1764 0.2049 0.1014
P 0.1764 0.2951 0.6014
P 0.8236 0.7049 0.3986
P 0.8236 0.7951 0.8986
H 0.0624 0.6995 0.8087
H 0.0624 0.8005 0.3087
H 0.0963 0.6177 0.9302
H 0.0963 0.8823 0.4302
H 0.0998 0.0485 0.6677
H 0.0998 0.4515 0.1677
H 0.2337 0.0795 0.2595
H 0.2337 0.4205 0.7595
H 0.2647 0.1465 0.4700
H 0.2647 0.3535 0.9700
H 0.3895 0.2469 0.2618
H 0.3895 0.2531 0.7618
H 0.4015 0.0849 0.5890
H 0.4015 0.4151 0.0890
H 0.4464 0.0698 0.2042
H 0.4464 0.4302 0.7042
H 0.4682 0.2394 0.0333
H 0.4682 0.2606 0.5333
H 0.5318 0.7394 0.4667
H 0.5318 0.7606 0.9667
H 0.5536 0.5698 0.2958
H 0.5536 0.9302 0.7958
H 0.5985 0.5849 0.9110
H 0.5985 0.9151 0.4110
H 0.6105 0.7469 0.2382
H 0.6105 0.7531 0.7382
H 0.7353 0.6465 0.0300
H 0.7353 0.8535 0.5300
H 0.7663 0.5795 0.2405
H 0.7663 0.9205 0.7405
H 0.9002 0.5485 0.8323
H 0.9002 0.9515 0.3323
H 0.9037 0.1177 0.5698
H 0.9037 0.3823 0.0698
H 0.9376 0.1995 0.6913
H 0.9376 0.3005 0.1913
C 0.0124 0.1503 0.6358
C 0.0124 0.3497 0.1358
C 0.3275 0.1440 0.2186
C 0.3275 0.3560 0.7186
C 0.3449 0.1860 0.5426
C 0.3449 0.3140 0.0426
C 0.6551 0.6860 0.9574
C 0.6551 0.8140 0.4574
C 0.6725 0.6440 0.2814
C 0.6725 0.8560 0.7814
C 0.9876 0.6503 0.8642
C 0.9876 0.8497 0.3642
Cl 0.1715 0.6848 0.5955
Cl 0.1715 0.8152 0.0955
Cl 0.2214 0.5018 0.4028
Cl 0.2214 0.9982 0.9028
Cl 0.7786 0.0018 0.0972
Cl 0.7786 0.4982 0.5972
Cl 0.8285 0.1848 0.9045
Cl 0.8285 0.3152 0.4045
CELL_PARAMETERS angstrom
6.9207 0.0000 0.0000
0.0000 8.6041 0.0000
-2.9070 0.0000 13.5317
```



2.
Below is crystalline Cu2S at its relaxed geometry, with properties calculated at the GGA-PBE level. Values from VASP.

Energy with MP2020 corrections, eV per atom: -4.31
Size of the total moment, Bohr magnetons per cell: 0.00
Energy relative to the elements, eV/atom: -0.194

Geometry as Quantum ESPRESSO input:
```
&SYSTEM
  ibrav = 0, nat = 18, ntyp = 2
/
ATOMIC_SPECIES
Cu 63.55 Cu.upf
S 32.06 S.upf
ATOMIC_POSITIONS crystal
Cu 0.0000 0.0000 0.0000
Cu 0.0160 0.1464 0.5124
Cu 0.1199 0.7972 0.8762
Cu 0.3032 0.5073 0.5756
Cu 0.3332 0.5857 0.3268
Cu 0.3831 0.2237 0.0578
Cu 0.4789 0.0716 0.9164
Cu 0.5631 0.8997 0.7517
Cu 0.6248 0.8828 0.4050
Cu 0.6755 0.6345 0.0118
Cu 0.8045 0.4296 0.8734
Cu 0.9250 0.1297 0.2370
S 0.0759 0.8989 0.6856
S 0.1825 0.7149 0.4531
S 0.3416 0.3769 0.8067
S 0.4284 0.1037 0.2878
S 0.8562 0.2650 0.1108
S 0.8671 0.3474 0.6227
CELL_PARAMETERS angstrom
4.0224 0.0000 0.0000
1.9027 4.2083 0.0000
0.6581 1.2925 17.6747
```